1.
Here is an optimized crystal structure of Mg3Si4O13 from Materials Project. Energies are from PBE.

Summary:
- mass density (g cm⁻³) = 2.560
- calculated total energy (eV per atom) = -6.80
- ΔE_f (meV per atom) = -2702.3
- V (Å³/f.u.) = 255.1
- symmetry = C2/m, No. 12

a = 5.3826 Å, b = 5.3826 Å, c = 10.3596 Å
α = 85.59°, β = 85.59°, γ = 120.63°
Last column: nearest neighbours and their distance in Å.
Fractional coordinates of all 20 atoms:
Mg1 0.8240 0.1760 0.5000  6 O 2.02-2.14
O1 0.0613 0.5629 0.8255  2 Si 1.64
O2 0.7927 0.4584 0.6108  1 Si 1.64
O3 0.4584 0.7927 0.6108  1 Si 1.64
O4 0.9387 0.4371 0.1745  2 Si 1.64
O5 0.4371 0.9387 0.1745  2 Si 1.64
O6 0.5416 0.2073 0.3892  1 Si 1.64
Mg2 0.1760 0.8240 0.5000  6 O 2.02-2.14
Si1 0.5887 0.2562 0.2288  4 O 1.64-1.65
O7 0.2073 0.5416 0.3892  1 Si 1.64
O8 0.8766 0.8766 0.4166  3 Mg 2.02-2.06
Si2 0.2562 0.5887 0.2288  4 O 1.64-1.65
O9 0.1234 0.1234 0.5834  3 Mg 2.02-2.06
O10 0.5629 0.0613 0.8255  2 Si 1.64
O11 0.5588 0.5588 0.8240  2 Si 1.65
Si3 0.4113 0.7438 0.7712  4 O 1.64-1.65
O12 0.4412 0.4412 0.1760  2 Si 1.65
O13 0.0000 0.0000 0.0000  12 O 3.19-3.26
Mg3 0.5000 0.5000 0.5000  6 O 2.06-2.11
Si4 0.7438 0.4113 0.7712  4 O 1.64-1.65

2.
Here is an optimized crystal structure of Al3Pt2 from Materials Project. Energies are from PBE.

Summary:
- mass density (g cm⁻³) = 9.601
- calculated total energy (eV per atom) = -5.67
- ΔE_f (meV per atom) = -994.4
- V (Å³/f.u.) = 81.5
- symmetry = P-3m1, No. 164

a = 4.2387 Å, b = 4.2387 Å, c = 5.2369 Å
α = 90.00°, β = 90.00°, γ = 120.00°
Last column: nearest neighbours and their distance in Å.
Fractional coordinates of all 5 atoms:
Al1 0.3333 0.6667 0.3532  5 Pt 2.51-2.72
Al2 0.0000 0.0000 0.0000  6 Pt 2.60
Al3 0.6667 0.3333 0.6468  5 Pt 2.51-2.72
Pt1 0.3333 0.6667 0.8331  8 Al 2.51-2.72
Pt2 0.6667 0.3333 0.1669  8 Al 2.51-2.72

3.
Here is an optimized crystal structure of HgS from Materials Project. Energies are from PBE.

Summary:
- mass density (g cm⁻³) = 7.129
- calculated total energy (eV per atom) = -2.35
- ΔE_f (meV per atom) = -376.8
- V (Å³/f.u.) = 54.2
- symmetry = P6_3mc, No. 186

a = 4.2454 Å, b = 4.2454 Å, c = 6.9441 Å
α = 90.00°, β = 90.00°, γ = 120.00°
Last column: nearest neighbours and their distance in Å.
Fractional coordinates of all 4 atoms:
S1 0.6667 0.3333 0.8751  4 Hg 2.60-2.61
Hg1 0.3333 0.6667 0.9999  4 S 2.60-2.61
S2 0.3333 0.6667 0.3751  4 Hg 2.60-2.61
Hg2 0.6667 0.3333 0.4999  4 S 2.60-2.61

4.
Here is an optimized crystal structure of LiGaPO5 from Materials Project. Energies are from PBE.

Summary:
- mass density (g cm⁻³) = 3.550
- calculated total energy (eV per atom) = -6.27
- energy above the most stable polymorph in this dataset (meV/atom) = 0
- ΔE_f (meV per atom) = -2315.1
- V (Å³/f.u.) = 87.8
- symmetry = P-1, No. 2

a = 5.1644 Å, b = 5.3703 Å, c = 7.2187 Å
α = 105.96°, β = 108.21°, γ = 99.77°
Last column: nearest neighbours and their distance in Å.
Fractional coordinates of all 16 atoms:
P1 0.3221 0.6457 0.2658  4 O 1.53-1.57
Ga1 0.0000 0.0000 0.5000  6 O 1.94-2.05
O1 0.7273 0.2036 0.8888  1 P 1.53
O2 0.3680 0.2450 0.5717  1 P 1.55
O3 0.6965 0.6569 0.8437  1 P 1.57
O4 0.3035 0.3431 0.1563  1 P 1.57
Li1 0.2727 0.6220 0.6943  4 O 1.98-2.18
O5 0.2727 0.7964 0.1112  1 P 1.53
P2 0.6779 0.3543 0.7342  4 O 1.53-1.57
O6 0.1160 0.9322 0.7636  2 Ga 1.94-1.96, 1 Li 1.98
Ga2 0.0000 0.0000 0.0000  6 O 1.94-2.03
O7 0.6320 0.7550 0.4283  1 P 1.55
O8 0.8840 0.0678 0.2364  2 Ga 1.94-1.96, 1 Li 1.98
O9 0.8867 0.3393 0.6175  1 P 1.56
O10 0.1133 0.6607 0.3825  1 P 1.56
Li2 0.7273 0.3780 0.3057  4 O 1.98-2.18

5.
Here is an optimized crystal structure of Lu5Si3B from Materials Project. Energies are from PBE.

Summary:
- mass density (g cm⁻³) = 8.688
- calculated total energy (eV per atom) = -5.62
- ΔE_f (meV per atom) = -560.1
- V (Å³/f.u.) = 185.4
- symmetry = P6_3/mcm, No. 193

a = 8.3338 Å, b = 8.3338 Å, c = 6.1643 Å
α = 90.00°, β = 90.00°, γ = 120.00°
Last column: nearest neighbours and their distance in Å.
Fractional coordinates of all 18 atoms:
Lu1 0.3333 0.6667 0.0000  6 Si 2.97, 2 Lu 3.08
Lu2 0.7613 0.7613 0.2500  2 B 2.52
B1 0.0000 0.0000 0.5000  6 Lu 2.52
Lu3 0.7613 0.0000 0.7500  2 B 2.52
Si1 0.4007 0.4007 0.2500  7 Lu 2.91-3.01
Lu4 0.6667 0.3333 0.5000  6 Si 2.97, 2 Lu 3.08
Lu5 0.0000 0.2387 0.2500  2 B 2.52
Lu6 0.2387 0.2387 0.7500  2 B 2.52
Si2 0.5993 0.5993 0.7500  7 Lu 2.91-3.01
Lu7 0.6667 0.3333 0.0000  6 Si 2.97, 2 Lu 3.08
Si3 0.5993 0.0000 0.2500  7 Lu 2.91-3.01
Si4 0.4007 0.0000 0.7500  7 Lu 2.91-3.01
Si5 0.0000 0.4007 0.7500  7 Lu 2.91-3.01
Lu8 0.2387 0.0000 0.2500  2 B 2.52
Lu9 0.0000 0.7613 0.7500  2 B 2.52
Lu10 0.3333 0.6667 0.5000  6 Si 2.97, 2 Lu 3.08
Si6 0.0000 0.5993 0.2500  7 Lu 2.91-3.01
B2 0.0000 0.0000 0.0000  6 Lu 2.52

6.
Here is an optimized crystal structure of LiCu3 from Materials Project. Energies are from PBE.

Summary:
- mass density (g cm⁻³) = 6.929
- calculated total energy (eV per atom) = -3.59
- ΔE_f (meV per atom) = -34.7
- V (Å³/f.u.) = 47.3
- symmetry = I4/mmm, No. 139

a = 4.4856 Å, b = 4.4856 Å, c = 4.4856 Å
α = 133.04°, β = 133.04°, γ = 68.59°
Last column: nearest neighbours and their distance in Å.
Fractional coordinates of all 4 atoms:
Li1 0.0000 0.0000 0.0000  12 Cu 2.53-2.57
Cu1 0.7500 0.2500 0.5000  8 Cu 2.53-2.57, 4 Li 2.57
Cu2 0.2500 0.7500 0.5000  8 Cu 2.53-2.57, 4 Li 2.57
Cu3 0.5000 0.5000 0.0000  4 Li 2.53, 8 Cu 2.57